1.
Compound: TiFeN2
Source: the Materials Project
Functional: PBE
Structure: relaxed

Values from the calculation:
Energy relative to the elements (meV per atom): -949

```
16
Lattice="-5.354 -1.566 -1.525 2.422 -2.509 -5.925 0.564 -3.666 1.783" Properties=species:S:1:pos:R:3 pbc="T T T"
Ti -2.369 -5.185 -5.777
N -3.688 -5.889 -2.058
Ti 0.209 -3.914 0.770
Fe -3.935 -3.925 -2.691
N -0.111 -5.565 -2.523
N 1.529 -3.210 -2.949
N -1.649 -4.446 0.264
Ti -1.848 -5.339 -1.510
Fe -0.446 -6.429 -4.193
Fe -1.714 -2.670 -0.814
N -0.511 -4.653 -5.271
N -2.049 -3.534 -2.484
Ti -0.311 -3.760 -3.497
N -2.090 -7.070 -4.992
Fe 1.776 -5.174 -2.316
N -0.069 -2.028 -0.014
```



2.
Compound: Y2Ti2Fe22N
Source: the Materials Project
Functional: PBE
Structure: relaxed

Values from the calculation:
Energy relative to the elements (meV per atom): -142

```
27
Lattice="-0.796 -2.526 3.966 3.964 -3.158 -4.082 9.524 5.260 5.261" Properties=species:S:1:pos:R:3 pbc="T T T"
Fe 6.357 -0.204 2.583
Fe 2.224 0.692 2.321
Fe 8.753 0.731 2.222
Fe 8.170 -1.479 3.565
Fe 1.589 -2.829 -0.051
Fe 8.819 2.433 6.187
Fe 3.944 -1.154 2.924
Y 4.418 1.357 4.618
Fe 5.960 -1.464 4.562
Fe 6.685 2.200 2.743
Fe 6.050 -2.634 2.404
Fe 4.506 1.062 1.581
Fe 1.191 -4.094 1.935
Ti 9.626 0.225 4.943
Y 0.057 -0.013 0.003
N -0.387 -1.267 1.982
Fe 3.821 -2.850 -1.048
Fe 1.488 -1.654 2.113
Ti 5.276 -1.126 0.342
Fe 2.973 -0.631 0.195
Fe 6.514 2.020 6.891
Fe 1.826 -0.571 4.303
Fe 11.229 1.227 3.036
Fe 9.089 2.727 3.561
Fe 6.911 3.279 4.912
Fe 3.603 -3.151 1.584
Fe 7.327 0.724 4.799
```



3.
Compound: YTiFe11N
Source: the Materials Project
Functional: PBE
Structure: relaxed

Values from the calculation:
Energy relative to the elements (meV per atom): -202

```
14
Lattice="0.000 0.000 4.808 -4.303 4.279 2.404 -4.303 -4.279 -2.404" Properties=species:S:1:pos:R:3 pbc="T T T"
Y -4.303 4.223 2.404
Fe -5.514 0.001 4.808
Fe -4.303 -2.372 0.000
Fe -4.303 1.219 2.404
Fe -3.091 0.001 4.808
Fe -6.689 0.023 2.404
Fe -1.917 0.023 2.404
Ti -4.303 -1.155 2.404
Fe -6.436 2.135 1.205
Fe -2.169 2.135 3.604
N -4.303 4.269 4.808
Fe -4.303 2.345 4.808
Fe -2.169 2.135 1.205
Fe -6.436 2.135 3.604
```



4.
Compound: VFe4N4
Source: the Materials Project
Functional: PBE
Structure: relaxed

Values from the calculation:
Energy relative to the elements (meV per atom): -260

```
18
Lattice="-4.700 0.876 1.236 -2.130 -4.182 1.503 1.118 -0.557 7.573" Properties=species:S:1:pos:R:3 pbc="T T T"
N -2.085 -0.728 5.533
Fe -2.771 -2.881 1.455
N -4.877 -0.596 4.682
V -1.293 -0.514 2.191
N -0.834 -3.267 5.629
Fe -2.941 -0.982 8.856
N -2.977 -1.335 2.603
N -3.626 -3.135 4.778
V -4.418 -3.349 8.121
N -2.735 -2.528 7.708
Fe -4.491 -2.042 3.434
N -5.794 -2.807 2.410
Fe -1.221 -1.821 6.878
Fe -3.258 0.295 3.872
Fe -3.851 -1.451 6.233
Fe -2.453 -4.158 6.440
Fe -1.861 -2.412 4.078
N 0.082 -1.056 7.902
```